No. 1
Na7ZrZn3P5SO24 PBE relaxed; total magnetic moment = 0.000 μB/f.u.; energy = -6.319 eV/atom
1.0
9.052 0.000 0.000
4.521 7.865 0.000
0.264 0.049 22.181
Na Zr Zn P S O
21 3 9 15 3 72
Cartesian
0.000 0.000 0.000 Na
10.426 2.190 11.253 Na
1.647 2.442 3.831 Na
4.647 7.446 15.126 Na
5.647 5.368 3.891 Na
4.081 2.383 15.046 Na
4.542 2.769 7.636 Na
7.401 7.791 1.945 Na
7.644 7.731 13.092 Na
6.168 5.142 11.140 Na
8.516 5.135 0.002 Na
7.325 2.606 20.347 Na
7.318 2.393 9.363 Na
10.213 7.356 3.838 Na
9.221 5.357 15.108 Na
10.781 7.773 18.611 Na
9.013 4.776 7.677 Na
10.346 2.616 18.567 Na
13.144 7.611 7.591 Na
12.077 5.066 16.766 Na
11.952 5.054 5.701 Na
7.280 2.410 1.646 Zr
7.456 2.344 12.697 Zr
12.148 5.063 20.110 Zr
7.311 7.595 5.329 Zn
7.590 7.734 20.810 Zn
7.554 7.736 16.728 Zn
7.460 7.595 9.901 Zn
7.314 2.527 5.940 Zn
7.533 2.421 17.282 Zn
11.891 5.096 13.345 Zn
11.862 5.007 2.360 Zn
12.021 5.105 9.338 Zn
4.861 7.709 18.689 P
5.480 5.080 0.330 P
4.240 2.705 11.294 P
6.033 5.326 7.612 P
4.376 2.147 18.629 P
4.613 2.416 4.049 P
8.857 5.337 18.712 P
8.727 4.774 3.978 P
6.144 0.064 15.113 P
9.268 5.077 11.295 P
10.465 7.356 0.282 P
8.693 0.104 4.010 P
10.198 2.464 15.033 P
10.529 2.672 0.284 P
13.349 7.372 11.285 P
1.528 2.147 7.621 S
6.149 4.768 15.008 S
10.071 7.677 7.578 S
2.129 3.527 7.635 O
1.974 3.313 1.578 O
4.012 6.543 12.544 O
1.876 1.376 8.843 O
5.722 7.832 19.953 O
5.648 7.549 17.376 O
1.188 0.032 3.961 O
2.054 1.489 6.392 O
1.970 1.156 14.973 O
1.991 1.239 0.149 O
5.826 7.595 11.237 O
4.475 5.183 7.675 O
3.685 3.547 18.817 O
3.735 3.673 3.911 O
3.680 3.381 12.559 O
4.662 4.932 14.970 O
4.689 5.204 1.635 O
4.782 4.978 21.297 O
4.048 3.554 10.017 O
3.714 1.638 17.325 O
6.293 6.161 6.331 O
3.599 1.312 11.193 O
6.390 6.312 0.202 O
3.774 1.119 4.014 O
6.642 6.001 8.863 O
6.814 6.103 15.023 O
4.103 1.242 19.820 O
5.429 2.596 5.340 O
6.475 3.930 16.161 O
6.627 4.099 13.726 O
5.808 2.603 11.412 O
6.393 3.809 0.305 O
5.626 2.281 2.851 O
5.895 2.330 18.541 O
6.696 3.902 7.577 O
8.029 6.155 3.949 O
9.121 7.814 15.067 O
8.294 6.263 11.225 O
9.184 7.851 8.745 O
8.950 7.506 0.167 O
8.378 6.000 20.004 O
9.288 7.561 6.313 O
8.645 6.189 17.442 O
6.507 1.017 13.904 O
8.108 3.991 2.759 O
6.458 1.015 7.582 O
8.324 3.899 18.632 O
8.362 3.769 11.360 O
6.726 0.701 16.375 O
8.493 3.972 5.273 O
6.685 0.874 0.304 O
10.049 5.178 12.605 O
10.787 6.578 1.566 O
10.908 6.426 7.651 O
10.139 4.851 10.043 O
10.450 5.217 18.798 O
11.368 6.696 21.219 O
10.258 4.922 3.865 O
11.350 6.550 14.950 O
8.944 2.610 0.305 O
8.225 0.961 11.386 O
8.145 0.786 5.279 O
8.457 1.080 18.680 O
9.340 2.639 16.293 O
9.077 2.251 7.617 O
9.223 2.388 13.784 O
8.313 0.968 2.742 O
11.072 3.639 21.233 O
12.777 6.822 9.974 O
12.578 6.566 3.937 O
11.109 3.719 14.949 O
12.955 6.460 18.768 O

---

No. 2
Na6ZrZn3P4S2O24 PBE relaxed; total magnetic moment = 0.000 μB/f.u.; energy = -6.265 eV/atom
1.0
9.028 0.000 0.000
4.477 7.848 0.000
0.086 0.106 22.300
Na Zr Zn P S O
18 3 9 12 6 72
Cartesian
0.000 0.000 0.000 Na
1.258 2.094 11.158 Na
3.016 5.003 5.642 Na
3.019 4.979 16.836 Na
4.192 2.367 7.432 Na
7.331 7.672 20.288 Na
7.371 7.515 9.331 Na
4.593 2.520 14.936 Na
4.549 2.031 22.234 Na
6.266 4.905 11.126 Na
10.134 7.856 11.071 Na
8.658 5.031 22.259 Na
10.245 7.345 18.483 Na
7.426 2.304 13.082 Na
7.443 2.335 1.985 Na
9.062 5.148 7.504 Na
8.931 4.709 14.926 Na
10.657 7.636 3.777 Na
2.788 4.871 2.263 Zr
2.877 4.953 13.400 Zr
7.293 7.509 5.872 Zr
2.835 4.929 20.074 Zn
2.897 5.011 8.882 Zn
7.289 7.596 16.870 Zn
7.340 7.570 1.608 Zn
7.418 7.586 12.843 Zn
7.256 2.392 9.473 Zn
7.299 2.339 5.135 Zn
7.472 2.288 16.285 Zn
7.507 2.315 20.643 Zn
1.589 2.661 22.185 P
4.639 7.569 3.570 P
1.534 2.016 14.787 P
4.203 2.601 11.040 P
6.085 5.254 14.807 P
4.226 2.010 3.637 P
6.014 4.624 7.409 P
8.632 5.164 3.609 P
10.062 7.607 14.853 P
10.556 7.819 7.372 P
10.581 7.337 22.181 P
9.209 4.938 11.034 P
4.205 7.280 11.057 S
5.563 5.001 22.191 S
4.747 2.382 18.547 S
8.743 4.712 18.539 S
10.021 2.306 7.402 S
13.268 7.865 18.555 S
3.748 6.266 3.544 O
2.208 3.474 14.668 O
3.965 6.441 9.880 O
2.285 3.299 20.989 O
1.756 1.253 13.465 O
5.448 7.697 2.278 O
5.700 7.733 18.415 O
1.925 1.108 7.286 O
5.601 7.377 4.790 O
5.674 7.422 11.201 O
2.106 1.139 0.039 O
2.283 1.425 15.971 O
3.547 3.408 3.556 O
4.520 5.044 14.676 O
3.592 3.265 9.796 O
4.710 5.210 21.017 O
4.478 4.733 7.526 O
3.894 3.586 18.645 O
3.901 3.525 12.285 O
4.607 4.700 1.108 O
6.309 6.125 16.020 O
3.602 1.320 4.900 O
3.549 1.204 11.187 O
6.345 6.091 0.036 O
6.679 6.049 7.236 O
3.938 1.123 18.474 O
3.976 1.169 2.375 O
6.672 5.839 13.494 O
5.584 2.523 17.321 O
6.295 3.709 6.227 O
6.406 3.775 22.121 O
5.605 2.212 19.776 O
5.753 2.478 11.030 O
6.706 4.139 8.719 O
6.700 3.826 14.928 O
5.744 2.103 3.773 O
8.950 7.710 7.265 O
8.151 6.081 18.479 O
8.293 6.180 11.167 O
9.243 7.837 13.555 O
8.957 7.349 0.032 O
8.094 5.813 2.330 O
8.380 6.105 4.856 O
9.204 7.304 16.094 O
6.275 0.821 8.658 O
6.448 1.029 14.984 O
8.228 4.066 19.782 O
8.085 3.770 3.803 O
8.440 3.909 17.331 O
6.759 0.901 22.130 O
6.633 0.622 6.109 O
8.392 3.618 11.016 O
10.848 6.466 20.941 O
10.093 5.159 9.794 O
10.219 5.159 3.563 O
10.938 6.306 14.672 O
10.151 4.801 12.295 O
11.153 6.523 1.136 O
10.242 4.875 18.590 O
11.074 6.365 7.473 O
9.062 2.602 22.123 O
8.109 0.766 10.988 O
8.141 0.703 17.412 O
8.254 0.912 3.744 O
9.055 2.299 14.941 O
9.158 2.459 6.243 O
9.272 2.110 8.670 O
8.554 0.772 19.833 O
12.585 6.527 18.640 O
10.831 3.483 1.134 O
12.632 6.614 12.264 O
10.913 3.508 7.466 O

---

No. 3
Na4ZrZn3P2S4O24 PBE relaxed; total magnetic moment = 0.000 μB/f.u.; energy = -6.160 eV/atom
1.0
8.907 0.000 0.000
4.445 7.734 0.000
0.179 -0.007 22.530
Na Zr Zn P S O
12 3 9 6 12 72
Cartesian
0.000 0.000 0.000 Na
0.214 0.178 11.240 Na
1.629 2.417 20.576 Na
4.346 2.774 7.528 Na
6.151 5.586 13.205 Na
4.651 2.740 18.564 Na
6.094 5.031 5.792 Na
5.653 0.110 5.685 Na
9.028 5.253 15.054 Na
6.260 0.316 20.494 Na
8.952 5.157 3.666 Na
10.535 7.592 13.425 Na
4.444 2.670 10.859 Zr
4.594 2.732 22.178 Zr
8.994 5.327 18.390 Zr
4.357 2.703 4.075 Zn
4.511 2.520 15.512 Zn
8.843 5.326 11.560 Zn
8.802 5.291 0.313 Zn
8.853 5.187 7.368 Zn
8.888 0.152 3.423 Zn
8.976 0.041 19.153 Zn
9.023 0.161 14.846 Zn
8.994 0.063 7.980 Zn
3.159 0.377 13.239 P
6.239 5.320 9.423 P
7.633 7.529 20.788 P
7.747 2.986 20.748 P
6.380 0.161 16.932 P
11.622 5.307 20.767 P
1.718 2.696 1.977 S
3.153 4.958 13.242 S
2.629 0.143 5.670 S
5.813 5.521 16.895 S
5.754 5.028 2.048 S
7.139 2.710 13.217 S
5.756 0.368 2.011 S
10.283 7.543 9.409 S
7.601 2.386 5.691 S
10.188 2.996 9.439 S
12.016 5.568 5.682 S
10.330 2.409 16.983 S
1.153 1.661 18.232 O
0.926 1.444 2.012 O
3.808 6.306 13.242 O
3.742 6.186 6.874 O
2.582 2.845 3.167 O
3.462 4.177 14.436 O
2.795 2.819 9.544 O
2.595 2.579 0.737 O
3.556 3.975 20.888 O
3.735 4.269 12.019 O
2.883 2.620 16.887 O
3.755 4.218 5.546 O
1.623 0.209 13.326 O
5.076 6.342 2.046 O
5.324 6.557 9.349 O
1.707 0.081 20.556 O
1.837 0.327 6.897 O
5.307 6.210 18.088 O
6.224 7.662 4.476 O
5.615 6.283 15.633 O
3.481 1.244 11.958 O
5.208 4.181 16.814 O
5.169 4.257 0.876 O
3.544 1.328 5.544 O
5.336 4.017 9.567 O
5.479 4.264 3.299 O
3.924 1.214 20.900 O
3.849 1.021 14.435 O
7.874 6.726 22.049 O
7.083 5.446 10.705 O
7.036 5.086 8.115 O
7.956 6.649 5.768 O
7.322 5.368 17.019 O
8.348 6.894 19.548 O
7.212 5.141 1.899 O
8.283 6.700 13.077 O
6.178 2.816 20.871 O
5.171 1.175 9.520 O
6.297 2.948 14.401 O
5.462 1.398 16.891 O
6.086 2.530 5.613 O
5.245 1.026 3.251 O
6.224 2.551 12.008 O
5.380 1.226 0.811 O
7.982 3.872 19.499 O
7.999 3.903 13.044 O
9.570 6.778 1.903 O
9.705 6.936 8.185 O
8.170 3.768 5.786 O
9.903 6.595 17.035 O
10.009 6.771 10.641 O
8.377 3.596 21.993 O
7.860 1.548 6.881 O
7.216 0.255 18.220 O
7.917 1.452 13.269 O
7.234 0.292 2.010 O
8.116 1.768 4.451 O
11.632 7.701 15.621 O
7.288 0.023 9.310 O
8.313 1.563 20.579 O
10.534 5.444 5.836 O
9.669 3.772 17.061 O
10.776 5.549 22.011 O
9.697 3.661 10.657 O
9.780 3.896 1.870 O
10.596 5.138 13.084 O
10.700 5.028 19.530 O
10.013 3.790 8.210 O
12.232 6.411 4.473 O
9.585 1.653 9.345 O
9.764 1.782 15.780 O
12.538 6.508 20.564 O